The following is a DFT calculation (meta-GGA r2SCAN) of a relaxed structure of Tm2AlSi2.

Cell: 4.044 5.496 5.496 Å, 61.37 68.41 68.41°
Fractional coordinates of all 5 atoms:
Tm 0.790 0.710 0.710
Tm 0.210 0.290 0.290
Al 0.000 0.000 0.000
Si 0.500 0.289 0.711
Si 0.500 0.711 0.289

Output
The value obtained for the formation energy is -0.76 eV/atom. Its space group is Immm, No. 71.